Record 1
An optimized crystal structure of NdTi3FeCu3O12. Source: the Materials Project, functional PBE+U.

Unit cell a=6.4907 b=6.4907 c=6.4907 alpha=109.50 beta=109.50 gamma=109.50
Last column: nearest neighbours and their distance in Å.
Element x y z (fractional)
Cu  0.5000  0.5000  0.0000  4 O 1.98-1.99
Ti  0.0000  0.0000  0.5000  6 O 1.95-1.99
O  0.1686  0.2958  0.4759  1 Ti 1.95, 1 Cu 1.98, 1 Fe 2.04
O  0.5241  0.8314  0.7042  1 Ti 1.95, 1 Cu 1.98, 1 Fe 2.04
O  0.8252  0.3008  0.1249  2 Ti 1.99, 1 Cu 1.99
Ti  0.5000  0.0000  0.0000  6 O 1.95-1.99
Fe  0.5000  0.5000  0.5000  6 O 2.04
O  0.3008  0.1249  0.8252  2 Ti 1.99, 1 Cu 1.99
O  0.2958  0.4759  0.1686  1 Ti 1.95, 1 Cu 1.98, 1 Fe 2.04
Cu  0.0000  0.5000  0.5000  4 O 1.98-1.99
O  0.7042  0.5241  0.8314  1 Ti 1.95, 1 Cu 1.98, 1 Fe 2.04
Nd  0.0000  0.0000  0.0000  12 O 2.61
O  0.1249  0.8252  0.3008  2 Ti 1.99, 1 Cu 1.99
O  0.6992  0.8751  0.1748  2 Ti 1.99, 1 Cu 1.99
O  0.4759  0.1686  0.2958  1 Ti 1.95, 1 Cu 1.98, 1 Fe 2.04
O  0.8751  0.1748  0.6992  2 Ti 1.99, 1 Cu 1.99
O  0.8314  0.7042  0.5241  1 Ti 1.95, 1 Cu 1.98, 1 Fe 2.04
O  0.1748  0.6992  0.8751  2 Ti 1.99, 1 Cu 1.99
Cu  0.5000  0.0000  0.5000  4 O 1.98-1.99
Ti  0.0000  0.5000  0.0000  6 O 1.95-1.99

Values from the calculation:
**Symmetry**: R-3
**Raw total energy**: -7.434 eV per atom

=====

Record 2
An optimized crystal structure of Fe4CuNiO8. Source: the Materials Project, functional PBE+U.

Unit cell a=6.0308 b=5.9133 c=5.9617 alpha=90.00 beta=60.38 gamma=119.18
Last column: nearest neighbours and their distance in Å.
Element x y z (fractional)
O  0.4752  0.7285  0.2767  2 Fe 1.93-2.06, 1 Cu 2.00, 1 Ni 2.08
Fe  0.7320  0.8645  0.8840  4 O 1.91-1.96
Fe  0.2680  0.1355  0.1160  4 O 1.91-1.96
O  0.0090  0.7407  0.7455  3 Fe 1.96-2.04, 1 Ni 2.13
O  0.5248  0.2715  0.2519  2 Fe 1.93-2.06, 1 Cu 2.00, 1 Ni 2.08
O  0.9910  0.2593  0.2545  3 Fe 1.96-2.04, 1 Ni 2.13
O  0.9768  0.2551  0.7616  3 Fe 1.91-2.03
Cu  0.5000  0.5000  0.5000  4 O 2.00
Fe  0.0000  0.5000  0.5000  6 O 2.03-2.06
O  0.4752  0.7285  0.7481  2 Fe 1.93-2.06, 1 Cu 2.00, 1 Ni 2.08
O  0.5248  0.2715  0.7233  2 Fe 1.93-2.06, 1 Cu 2.00, 1 Ni 2.08
Fe  0.0000  0.5000  0.0000  6 O 2.03-2.06
Ni  0.5000  0.0000  0.5000  6 O 2.08-2.13
O  0.0232  0.7449  0.2384  3 Fe 1.91-2.03

Values from the calculation:
**Symmetry**: C2/m
**Raw total energy**: -6.185 eV per atom

=====

Record 3
An optimized crystal structure of Fe3CuNi2P6O24. Source: the Materials Project, functional PBE+U.

Unit cell a=8.4815 b=8.4815 c=8.4815 alpha=60.96 beta=60.96 gamma=60.96
Last column: nearest neighbours and their distance in Å.
Element x y z (fractional)
O  0.6831  0.8881  0.4972  1 P 1.52
O  0.4370  0.5921  0.2453  1 P 1.57
O  0.0889  0.9442  0.7444  1 P 1.56
O  0.0164  0.6117  0.8136  1 P 1.53
O  0.6117  0.8136  0.0164  1 P 1.53
O  0.8136  0.0164  0.6117  1 P 1.53
Ni  0.9996  0.9996  0.9996  6 O 2.13-2.15
P  0.2488  0.9523  0.5458  4 O 1.52-1.56
O  0.1091  0.5057  0.3171  1 P 1.53
O  0.1819  0.9933  0.3890  1 P 1.52
Fe  0.1437  0.1437  0.1437  6 O 1.93-2.07
O  0.9442  0.7444  0.0889  1 P 1.56
P  0.5458  0.2488  0.9523  4 O 1.52-1.56
P  0.9523  0.5458  0.2488  4 O 1.52-1.56
O  0.2453  0.4370  0.5921  1 P 1.57
O  0.7538  0.5618  0.4071  1 P 1.55
P  0.0446  0.4560  0.7503  4 O 1.52-1.57
O  0.5921  0.2453  0.4370  1 P 1.57
O  0.3171  0.1091  0.5057  1 P 1.53
O  0.5618  0.4071  0.7538  1 P 1.55
O  0.7444  0.0889  0.9442  1 P 1.56
O  0.3890  0.1819  0.9933  1 P 1.52
O  0.0592  0.2561  0.9085  1 P 1.56
Ni  0.4999  0.4999  0.4999  6 O 2.14-2.15
O  0.2561  0.9085  0.0592  1 P 1.56
O  0.8881  0.4972  0.6831  1 P 1.52
O  0.5057  0.3171  0.1091  1 P 1.53
O  0.4071  0.7538  0.5618  1 P 1.55
O  0.9933  0.3890  0.1819  1 P 1.52
Fe  0.6436  0.6436  0.6436  6 O 1.93-2.07
O  0.4972  0.6831  0.8881  1 P 1.52
Fe  0.3552  0.3552  0.3552  6 O 1.94-2.07
O  0.9085  0.0592  0.2561  1 P 1.56
Cu  0.8557  0.8557  0.8557  6 O 1.94-2.07
P  0.7503  0.0446  0.4560  4 O 1.52-1.57
P  0.4560  0.7503  0.0446  4 O 1.52-1.57

Values from the calculation:
**Symmetry**: R3
**Raw total energy**: -6.663 eV per atom